[1]
Compound: Ga4P4O17
Source: the Materials Project
Functional: PBE
Structure: optimized geometry

Calculated values
ΔH_f (0 K)	-2.361	eV/atom
ρ	1.841	g/cm³
size of the total moment	0.07	μB/atom
volume	3653	Å³ per cell
total DFT energy (no corrections)	-6.61	eV/atom

abc: 17.2864 17.2864 17.2864
angles: 60.00 60.00 60.00
Element x y z (fractional)
Ga (0.8930, 0.1070, 0.2729)
Ga (0.3930, 0.7729, 0.6070)
Ga (0.2729, 0.7271, 0.8930)
Ga (0.3930, 0.2271, 0.7729)
Ga (0.1070, 0.2729, 0.8930)
Ga (0.2729, 0.1070, 0.7271)
Ga (0.7271, 0.2729, 0.1070)
Ga (0.7271, 0.8930, 0.2729)
Ga (0.2271, 0.6070, 0.7729)
Ga (0.6070, 0.2271, 0.3930)
Ga (0.6070, 0.7729, 0.2271)
Ga (0.7729, 0.6070, 0.3930)
Ga (0.7271, 0.1070, 0.8930)
Ga (0.8930, 0.7271, 0.1070)
Ga (0.7729, 0.2271, 0.6070)
Ga (0.2271, 0.3930, 0.6070)
Ga (0.7729, 0.3930, 0.2271)
Ga (0.3930, 0.6070, 0.2271)
Ga (0.2271, 0.7729, 0.3930)
Ga (0.6070, 0.3930, 0.7729)
Ga (0.8930, 0.2729, 0.7271)
Ga (0.1070, 0.7271, 0.2729)
Ga (0.1070, 0.8930, 0.7271)
Ga (0.2729, 0.8930, 0.1070)
P (0.4175, 0.2224, 0.5825)
P (0.9175, 0.7224, 0.2776)
P (0.9175, 0.2776, 0.0825)
P (0.2776, 0.0825, 0.9175)
P (0.7224, 0.0825, 0.2776)
P (0.2224, 0.5825, 0.4175)
P (0.7224, 0.2776, 0.9175)
P (0.0825, 0.9175, 0.2776)
P (0.5825, 0.2224, 0.7776)
P (0.0825, 0.2776, 0.7224)
P (0.9175, 0.0825, 0.7224)
P (0.2224, 0.7776, 0.5825)
P (0.7776, 0.2224, 0.4175)
P (0.2776, 0.9175, 0.7224)
P (0.7776, 0.4175, 0.5825)
P (0.7224, 0.9175, 0.0825)
P (0.2224, 0.4175, 0.7776)
P (0.0825, 0.7224, 0.9175)
P (0.5825, 0.7776, 0.4175)
P (0.4175, 0.5825, 0.7776)
P (0.7776, 0.5825, 0.2224)
P (0.2776, 0.7224, 0.0825)
P (0.4175, 0.7776, 0.2224)
P (0.5825, 0.4175, 0.2224)
O (0.8467, 0.8219, 0.2823)
O (0.5491, 0.3219, 0.7823)
O (0.3728, 0.1445, 0.6272)
O (0.2987, 0.7013, 0.9971)
O (0.8728, 0.3555, 0.1272)
O (0.7823, 0.3219, 0.3467)
O (0.4509, 0.6781, 0.2177)
O (0.5029, 0.2013, 0.4971)
O (0.3219, 0.3467, 0.7823)
O (0.2987, 0.0029, 0.7013)
O (0.4971, 0.7987, 0.5029)
O (0.9971, 0.2987, 0.7013)
O (0.1272, 0.3555, 0.6445)
O (0.6533, 0.4509, 0.2177)
O (0.1781, 0.9509, 0.7177)
O (0.0029, 0.9971, 0.7013)
O (0.0491, 0.8219, 0.8467)
O (0.7987, 0.5029, 0.4971)
O (0.0491, 0.2823, 0.8219)
O (0.6533, 0.6781, 0.4509)
O (0.3555, 0.1272, 0.8728)
O (0.8219, 0.0491, 0.2823)
O (0.3219, 0.7823, 0.5491)
O (0.1781, 0.7177, 0.1533)
O (0.9509, 0.1533, 0.7177)
O (0.3728, 0.8555, 0.1445)
O (0.2987, 0.9971, 0.0029)
O (0.7177, 0.9509, 0.1533)
O (0.5491, 0.7823, 0.3467)
O (0.9509, 0.7177, 0.1781)
O (0.4971, 0.2013, 0.7987)
O (0.1272, 0.8728, 0.3555)
O (0.8219, 0.8467, 0.0491)
O (0.9971, 0.7013, 0.0029)
O (0.6272, 0.8555, 0.3728)
O (0.1533, 0.9509, 0.1781)
O (0.5029, 0.4971, 0.7987)
O (0.4509, 0.2177, 0.6533)
O (0.7013, 0.9971, 0.2987)
O (0.9509, 0.1781, 0.1533)
O (0.1533, 0.7177, 0.9509)
O (0.8555, 0.3728, 0.6272)
O (0.3219, 0.5491, 0.3467)
O (0.1533, 0.1781, 0.7177)
O (0.7500, 0.7500, 0.2500)
O (0.1445, 0.8555, 0.6272)
O (0.7987, 0.2013, 0.5029)
O (0.1781, 0.1533, 0.9509)
O (0.3555, 0.8728, 0.6445)
O (0.4971, 0.5029, 0.2013)
O (0.2013, 0.7987, 0.4971)
O (0.2500, 0.2500, 0.7500)
O (0.0029, 0.7013, 0.2987)
O (0.6272, 0.3728, 0.1445)
O (0.5491, 0.3467, 0.3219)
O (0.2823, 0.0491, 0.8467)
O (0.2500, 0.7500, 0.7500)
O (0.7013, 0.0029, 0.9971)
O (0.7823, 0.5491, 0.3219)
O (0.8219, 0.2823, 0.8467)
O (0.2177, 0.4509, 0.6781)
O (0.6781, 0.6533, 0.2177)
O (0.6445, 0.8728, 0.1272)
O (0.2823, 0.8219, 0.0491)
O (0.2823, 0.8467, 0.8219)
O (0.1445, 0.6272, 0.3728)
O (0.6533, 0.2177, 0.6781)
O (0.6445, 0.3555, 0.8728)
O (0.3467, 0.7823, 0.3219)
O (0.1445, 0.3728, 0.8555)
O (0.3555, 0.6445, 0.1272)
O (0.6445, 0.1272, 0.3555)
O (0.2013, 0.5029, 0.7987)
O (0.2500, 0.7500, 0.2500)
O (0.6272, 0.1445, 0.8555)
O (0.3728, 0.6272, 0.8555)
O (0.7500, 0.2500, 0.2500)
O (0.3467, 0.3219, 0.5491)
O (0.5029, 0.7987, 0.2013)
O (0.7987, 0.4971, 0.2013)
O (0.7177, 0.1781, 0.9509)
O (0.6781, 0.4509, 0.6533)
O (0.2177, 0.6533, 0.4509)
O (0.8728, 0.6445, 0.3555)
O (0.6781, 0.2177, 0.4509)
O (0.8467, 0.0491, 0.8219)
O (0.3467, 0.5491, 0.7823)
O (0.2013, 0.4971, 0.5029)
O (0.0029, 0.2987, 0.9971)
O (0.8555, 0.1445, 0.3728)
O (0.7823, 0.3467, 0.5491)
O (0.7500, 0.2500, 0.7500)
O (0.1272, 0.6445, 0.8728)
O (0.9971, 0.0029, 0.2987)
O (0.4509, 0.6533, 0.6781)
O (0.0491, 0.8467, 0.2823)
O (0.7013, 0.2987, 0.0029)
O (0.8728, 0.1272, 0.6445)
O (0.7177, 0.1533, 0.1781)
O (0.2177, 0.6781, 0.6533)
O (0.8467, 0.2823, 0.0491)
O (0.8555, 0.6272, 0.1445)

=====

[2]
Compound: Ba4Zn4B14Pb2O31
Source: the Materials Project
Functional: PBE
Structure: optimized geometry

Calculated values
ΔH_f (0 K)	-2.749	eV/atom
ρ	4.372	g/cm³
size of the total moment	0.00	μB/atom
volume	711	Å³ per cell
total DFT energy (no corrections)	-7.22	eV/atom

abc: 7.1107 7.1420 16.4011
angles: 79.39 83.01 60.39
Element x y z (fractional)
Ba (0.1020, 0.0763, 0.5917)
Ba (0.8337, 0.6580, 0.7435)
Ba (0.3664, 0.9249, 0.1796)
Ba (0.0873, 0.5092, 0.3417)
Zn (0.7483, 0.7942, 0.5153)
Zn (0.0436, 0.5992, 0.1228)
Zn (0.4374, 0.7941, 0.4174)
Zn (0.1521, 0.9861, 0.8128)
B (0.0250, 0.4654, 0.9648)
B (0.4773, 0.4276, 0.1692)
B (0.5972, 0.2073, 0.5760)
B (0.9730, 0.1101, 0.3778)
B (0.3284, 0.2763, 0.7600)
B (0.7261, 0.9933, 0.3290)
B (0.4626, 0.5934, 0.6043)
B (0.4460, 0.5521, 0.7667)
B (0.7458, 0.0349, 0.1663)
B (0.8644, 0.3091, 0.1739)
B (0.5895, 0.3797, 0.3579)
B (0.2039, 0.0466, 0.9730)
B (0.2131, 0.4764, 0.5571)
B (0.7146, 0.1561, 0.7668)
Pb (0.7661, 0.9463, 0.9664)
Pb (0.5168, 0.5414, 0.9574)
O (0.1748, 0.2469, 0.9881)
O (0.7832, 0.8878, 0.1073)
O (0.7621, 0.9999, 0.5752)
O (0.9184, 0.9870, 0.7597)
O (0.4106, 0.6979, 0.8266)
O (0.2730, 0.5927, 0.1793)
O (0.5455, 0.1096, 0.7605)
O (0.2797, 0.4785, 0.7760)
O (0.0244, 0.3492, 0.1889)
O (0.4532, 0.6667, 0.6836)
O (0.6670, 0.3556, 0.7841)
O (0.7954, 0.3208, 0.3840)
O (0.9467, 0.9653, 0.3431)
O (0.4939, 0.7441, 0.5385)
O (0.0212, 0.5109, 0.5321)
O (0.0569, 0.0366, 0.9295)
O (0.1631, 0.0749, 0.4047)
O (0.6928, 0.8432, 0.3948)
O (0.7366, 0.9203, 0.2496)
O (0.4232, 0.5859, 0.3597)
O (0.2409, 0.6210, 0.5912)
O (0.5258, 0.2311, 0.1486)
O (0.9131, 0.1072, 0.1576)
O (0.3911, 0.2668, 0.5498)
O (0.8490, 0.5510, 0.9164)
O (0.1699, 0.2357, 0.7434)
O (0.0656, 0.6080, 0.9982)
O (0.3913, 0.8685, 0.0045)
O (0.5558, 0.2271, 0.3306)
O (0.6468, 0.4751, 0.1747)
O (0.6326, 0.3599, 0.6023)

=====

[3]
Compound: CeMg6Ga
Source: the Materials Project
Functional: PBE
Structure: optimized geometry

Calculated values
ΔH_f (0 K)	0.004	eV/atom
energy above the lowest structure with this stoichiometry	1.2	kJ/mol of atoms
ρ	3.133	g/cm³
size of the total moment	0.16	μB/atom
volume	189	Å³ per cell
total DFT energy (no corrections)	-2.32	eV/atom

abc: 6.5390 6.5390 5.1522
angles: 90.00 90.00 121.15
Element x y z (fractional)
Ce (0.8325, 0.1675, 0.5000)
Mg (0.3348, 0.1691, 0.5000)
Mg (0.8309, 0.6652, 0.5000)
Mg (0.1720, 0.3373, 0.0000)
Mg (0.6627, 0.8280, 0.0000)
Mg (0.6646, 0.3354, 0.0000)
Mg (0.1675, 0.8325, 0.0000)
Ga (0.3350, 0.6650, 0.5000)

=====

[4]
Compound: CeAl2BRu2
Source: the Materials Project
Functional: PBE
Structure: optimized geometry

Calculated values
ΔH_f (0 K)	-0.614	eV/atom
ρ	6.849	g/cm³
size of the total moment	0.13	μB/atom
volume	99	Å³ per cell
total DFT energy (no corrections)	-7.06	eV/atom

abc: 4.2073 4.2073 5.5753
angles: 90.00 90.00 90.00
Element x y z (fractional)
Ce (0.0000, 0.0000, 0.5000)
Al (0.5000, 0.5000, 0.7405)
Al (0.5000, 0.5000, 0.2595)
B (0.0000, 0.0000, 0.0000)
Ru (0.5000, 0.0000, 0.0000)
Ru (0.0000, 0.5000, 0.0000)

=====

[5]
Compound: TmGa3Ru
Source: the Materials Project
Functional: PBE
Structure: optimized geometry

Calculated values
ΔH_f (0 K)	-0.580	eV/atom
ρ	9.133	g/cm³
volume	261	Å³ per cell
total DFT energy (no corrections)	-5.15	eV/atom

abc: 6.3937 6.3937 6.3937
angles: 90.00 90.00 90.00
Element x y z (fractional)
Tm (0.0000, 0.5000, 0.5000)
Tm (0.5000, 0.5000, 0.0000)
Tm (0.5000, 0.0000, 0.5000)
Ga (0.5000, 0.5000, 0.5000)
Ga (0.2127, 0.2127, 0.2127)
Ga (0.2127, 0.7873, 0.2127)
Ga (0.2127, 0.2127, 0.7873)
Ga (0.7873, 0.2127, 0.2127)
Ga (0.7873, 0.7873, 0.2127)
Ga (0.2127, 0.7873, 0.7873)
Ga (0.7873, 0.2127, 0.7873)
Ga (0.7873, 0.7873, 0.7873)
Ru (0.5000, 0.0000, 0.0000)
Ru (0.0000, 0.0000, 0.5000)
Ru (0.0000, 0.5000, 0.0000)

=====

[6]
Compound: Er2Al3Co
Source: the Materials Project
Functional: PBE
Structure: optimized geometry

Calculated values
ΔH_f (0 K)	-0.493	eV/atom
energy above the lowest structure with this stoichiometry	0.0	kJ/mol of atoms
ρ	7.077	g/cm³
volume	223	Å³ per cell
total DFT energy (no corrections)	-5.07	eV/atom

abc: 5.4928 5.4928 8.5198
angles: 90.00 90.00 120.00
Element x y z (fractional)
Er (0.3333, 0.6667, 0.4443)
Er (0.6667, 0.3333, 0.9443)
Er (0.6667, 0.3333, 0.5557)
Er (0.3333, 0.6667, 0.0557)
Al (0.3228, 0.1614, 0.2500)
Al (0.1614, 0.8386, 0.7500)
Al (0.1614, 0.3228, 0.7500)
Al (0.8386, 0.6772, 0.2500)
Al (0.6772, 0.8386, 0.7500)
Al (0.8386, 0.1614, 0.2500)
Co (0.0000, 0.0000, 0.0000)
Co (0.0000, 0.0000, 0.5000)

=====

[7]
Compound: Pd3S
Source: the Materials Project
Functional: PBE
Structure: optimized geometry

Calculated values
ΔH_f (0 K)	-0.340	eV/atom
ρ	9.036	g/cm³
volume	129	Å³ per cell
total DFT energy (no corrections)	-5.13	eV/atom

abc: 4.6151 4.6151 6.3744
angles: 90.00 90.00 107.99
Element x y z (fractional)
Pd (0.0425, 0.6512, 0.7500)
Pd (0.6512, 0.0425, 0.7500)
Pd (0.5000, 0.5000, 0.0000)
Pd (0.5000, 0.5000, 0.5000)
Pd (0.3488, 0.9575, 0.2500)
Pd (0.9575, 0.3488, 0.2500)
S (0.8109, 0.8109, 0.2500)
S (0.1891, 0.1891, 0.7500)

=====

[8]
Compound: Na12Mg5NbP9O36
Source: the Materials Project
Functional: PBE
Structure: optimized geometry

Calculated values
ΔH_f (0 K)	-2.779	eV/atom
ρ	2.871	g/cm³
size of the total moment	0.00	μB/atom
volume	1556	Å³ per cell
total DFT energy (no corrections)	-6.53	eV/atom

abc: 9.0165 9.0165 22.1010
angles: 90.00 90.00 120.00
Element x y z (fractional)
Na (0.6349, 0.9995, 0.2503)
Na (0.3645, 0.3651, 0.2503)
Na (0.0005, 0.6355, 0.2503)
Na (0.6349, 0.6355, 0.7503)
Na (0.0005, 0.3651, 0.7503)
Na (0.3645, 0.9995, 0.7503)
Na (0.2956, 0.3338, 0.5878)
Na (0.0381, 0.7044, 0.5878)
Na (0.6662, 0.9619, 0.5878)
Na (0.2956, 0.9619, 0.0878)
Na (0.6662, 0.7044, 0.0878)
Na (0.0381, 0.3338, 0.0878)
Na (0.9787, 0.6787, 0.9083)
Na (0.7001, 0.0213, 0.9083)
Na (0.3213, 0.2999, 0.9083)
Na (0.9787, 0.2999, 0.4083)
Na (0.3213, 0.0213, 0.4083)
Na (0.7001, 0.6787, 0.4083)
Na (0.0000, 0.0000, 0.4997)
Na (0.0000, 0.0000, 0.9997)
Na (0.6667, 0.3333, 0.8238)
Na (0.6667, 0.3333, 0.3238)
Na (0.3333, 0.6667, 0.1710)
Na (0.3333, 0.6667, 0.6710)
Mg (0.0000, 0.0000, 0.3461)
Mg (0.0000, 0.0000, 0.8461)
Mg (0.0000, 0.0000, 0.6531)
Mg (0.0000, 0.0000, 0.1531)
Mg (0.6667, 0.3333, 0.6858)
Mg (0.6667, 0.3333, 0.1858)
Mg (0.3333, 0.6667, 0.0166)
Mg (0.3333, 0.6667, 0.5166)
Mg (0.3333, 0.6667, 0.3151)
Mg (0.3333, 0.6667, 0.8151)
Nb (0.6667, 0.3333, 0.9816)
Nb (0.6667, 0.3333, 0.4816)
P (0.2958, 0.9992, 0.2498)
P (0.7035, 0.7042, 0.2498)
P (0.0008, 0.2965, 0.2498)
P (0.2958, 0.2965, 0.7498)
P (0.0008, 0.7042, 0.7498)
P (0.7035, 0.9992, 0.7498)
P (0.9630, 0.3352, 0.5856)
P (0.3722, 0.0370, 0.5856)
P (0.6648, 0.6278, 0.5856)
P (0.9630, 0.6278, 0.0856)
P (0.6648, 0.0370, 0.0856)
P (0.3722, 0.3352, 0.0856)
P (0.6273, 0.6690, 0.9177)
P (0.0417, 0.3727, 0.9177)
P (0.3310, 0.9583, 0.9177)
P (0.6273, 0.9583, 0.4177)
P (0.3310, 0.3727, 0.4177)
P (0.0417, 0.6690, 0.4177)
O (0.2136, 0.0272, 0.3069)
O (0.8137, 0.7864, 0.3069)
O (0.9728, 0.1863, 0.3069)
O (0.2136, 0.1863, 0.8069)
O (0.9728, 0.7864, 0.8069)
O (0.8137, 0.0272, 0.8069)
O (0.7858, 0.9710, 0.6928)
O (0.1852, 0.2142, 0.6928)
O (0.0290, 0.8148, 0.6928)
O (0.7858, 0.8148, 0.1928)
O (0.0290, 0.2142, 0.1928)
O (0.1852, 0.9710, 0.1928)
O (0.8762, 0.3623, 0.6396)
O (0.4861, 0.1238, 0.6396)
O (0.6377, 0.5139, 0.6396)
O (0.8762, 0.5139, 0.1396)
O (0.6377, 0.1238, 0.1396)
O (0.4861, 0.3623, 0.1396)
O (0.4715, 0.3138, 0.0278)
O (0.8424, 0.5285, 0.0278)
O (0.6862, 0.1576, 0.0278)
O (0.4715, 0.1576, 0.5278)
O (0.6862, 0.5285, 0.5278)
O (0.8424, 0.3138, 0.5278)
O (0.5461, 0.6928, 0.9749)
O (0.1466, 0.4539, 0.9749)
O (0.3072, 0.8534, 0.9749)
O (0.5461, 0.8534, 0.4749)
O (0.3072, 0.4539, 0.4749)
O (0.1466, 0.6928, 0.4749)
O (0.1139, 0.6281, 0.3616)
O (0.5143, 0.8861, 0.3616)
O (0.3719, 0.4857, 0.3616)
O (0.1139, 0.4857, 0.8616)
O (0.3719, 0.8861, 0.8616)
O (0.5143, 0.6281, 0.8616)
O (0.0119, 0.8230, 0.4122)
O (0.8111, 0.9881, 0.4122)
O (0.1770, 0.1889, 0.4122)
O (0.0119, 0.1889, 0.9122)
O (0.1770, 0.9881, 0.9122)
O (0.8111, 0.8230, 0.9122)
O (0.9722, 0.1690, 0.5847)
O (0.1968, 0.0278, 0.5847)
O (0.8310, 0.8032, 0.5847)
O (0.9722, 0.8032, 0.0847)
O (0.8310, 0.0278, 0.0847)
O (0.1968, 0.1690, 0.0847)
O (0.6850, 0.1616, 0.7452)
O (0.4767, 0.3150, 0.7452)
O (0.8384, 0.5233, 0.7452)
O (0.6850, 0.5233, 0.2452)
O (0.8384, 0.3150, 0.2452)
O (0.4767, 0.1616, 0.2452)
O (0.6478, 0.5011, 0.9249)
O (0.8533, 0.3522, 0.9249)
O (0.4989, 0.1467, 0.9249)
O (0.6478, 0.1467, 0.4249)
O (0.4989, 0.3522, 0.4249)
O (0.8533, 0.5011, 0.4249)
O (0.3552, 0.4953, 0.0770)
O (0.1402, 0.6448, 0.0770)
O (0.5047, 0.8598, 0.0770)
O (0.3552, 0.8598, 0.5770)
O (0.5047, 0.6448, 0.5770)
O (0.1402, 0.4953, 0.5770)
O (0.3143, 0.8371, 0.2552)
O (0.5228, 0.6857, 0.2552)
O (0.1629, 0.4772, 0.2552)
O (0.3143, 0.4772, 0.7552)
O (0.1629, 0.6857, 0.7552)
O (0.5228, 0.8371, 0.7552)